#i
A plane-wave DFT calculation with GGA-PBE was carried out for a relaxed Li2Ti3ZnO8 crystal.

Values from the calculation:
Symmetry: R3m (160)

a = 5.964 Å, b = 5.964 Å, c = 5.964 Å
α = 60.22°, β = 60.22°, γ = 60.22°
Positions (direct):
O: 0.376 0.376 0.833
O: 0.385 0.385 0.385
O: 0.833 0.376 0.376
O: 0.867 0.867 0.867
O: 0.413 0.872 0.872
O: 0.872 0.413 0.872
O: 0.872 0.872 0.413
O: 0.376 0.833 0.376
Zn: 0.008 0.008 0.008
Ti: 0.623 0.132 0.623
Ti: 0.623 0.623 0.132
Ti: 0.132 0.623 0.623
Li: 0.626 0.626 0.626
Li: 0.246 0.246 0.246

#ii
A plane-wave DFT calculation with GGA-PBE was carried out for a relaxed Li2Ti3ZnO8 crystal.

Values from the calculation:
Maximum piezoelectric response (C/m2): 0.058
Symmetry: P2_13 (198)

a = 8.447 Å, b = 8.447 Å, c = 8.447 Å
α = 90.00°, β = 90.00°, γ = 90.00°
Positions (direct):
O: 0.627 0.110 0.893
O: 0.890 0.393 0.873
O: 0.110 0.893 0.627
O: 0.873 0.890 0.393
O: 0.393 0.873 0.890
O: 0.856 0.359 0.377
O: 0.127 0.390 0.107
O: 0.610 0.607 0.373
O: 0.607 0.373 0.610
O: 0.888 0.112 0.612
O: 0.612 0.888 0.112
O: 0.123 0.144 0.859
O: 0.641 0.877 0.644
O: 0.359 0.377 0.856
O: 0.861 0.861 0.861
O: 0.361 0.639 0.139
O: 0.112 0.612 0.888
O: 0.623 0.356 0.141
O: 0.356 0.141 0.623
O: 0.373 0.610 0.607
O: 0.144 0.859 0.123
O: 0.107 0.127 0.390
O: 0.893 0.627 0.110
O: 0.139 0.361 0.639
O: 0.388 0.388 0.388
O: 0.141 0.623 0.356
O: 0.859 0.123 0.144
O: 0.644 0.641 0.877
O: 0.390 0.107 0.127
O: 0.377 0.856 0.359
O: 0.877 0.644 0.641
O: 0.639 0.139 0.361
Ti: 0.880 0.127 0.365
Ti: 0.127 0.365 0.880
Ti: 0.865 0.620 0.873
Ti: 0.373 0.635 0.380
Ti: 0.627 0.135 0.120
Ti: 0.380 0.373 0.635
Ti: 0.620 0.873 0.865
Ti: 0.120 0.627 0.135
Ti: 0.365 0.880 0.127
Ti: 0.135 0.120 0.627
Ti: 0.873 0.865 0.620
Ti: 0.635 0.380 0.373
Zn: 0.748 0.752 0.248
Zn: 0.752 0.248 0.748
Zn: 0.248 0.748 0.752
Zn: 0.252 0.252 0.252
Li: 0.875 0.375 0.125
Li: 0.625 0.625 0.625
Li: 0.498 0.502 0.002
Li: 0.125 0.875 0.375
Li: 0.998 0.998 0.998
Li: 0.002 0.498 0.502
Li: 0.502 0.002 0.498
Li: 0.375 0.125 0.875

Energies, relative to the best one, in meV per atom: #i 36; #ii 0.

#i
A plane-wave DFT calculation with GGA-PBE was carried out for a relaxed LiTlO2 crystal.

Values from the calculation:
Symmetry: P4/mmm (123)

a = 3.371 Å, b = 3.371 Å, c = 4.331 Å
α = 90.00°, β = 90.00°, γ = 90.00°
Positions (direct):
Tl: 0.500 0.500 0.500
Li: 0.000 0.000 0.000
O: 0.500 0.500 0.000
O: 0.000 0.000 0.500

#ii
A plane-wave DFT calculation with GGA-PBE was carried out for a relaxed LiTlO2 crystal.

Values from the calculation:
Symmetry: I4_1/amd (141)

a = 5.691 Å, b = 5.691 Å, c = 5.691 Å
α = 131.93°, β = 131.93°, γ = 70.34°
Positions (direct):
Tl: 0.750 0.250 0.500
Tl: 0.000 0.000 0.000
Li: 0.250 0.750 0.500
Li: 0.500 0.500 0.000
O: 0.993 0.493 0.500
O: 0.243 0.243 0.000
O: 0.757 0.757 0.000
O: 0.507 0.007 0.500

Energies, relative to the best one, in meV per atom: #i 45; #ii 0.

#i
A plane-wave DFT calculation with GGA-PBE was carried out for a relaxed Li2Zr2O5 crystal.

Values from the calculation:
Symmetry: Pnna (52)

a = 5.604 Å, b = 8.201 Å, c = 11.365 Å
α = 90.00°, β = 90.00°, γ = 90.00°
Positions (direct):
Li: 0.950 0.913 0.588
Li: 0.550 0.913 0.412
Li: 0.050 0.087 0.412
Li: 0.450 0.413 0.912
Li: 0.050 0.413 0.088
Li: 0.550 0.587 0.088
Li: 0.450 0.087 0.588
Li: 0.950 0.587 0.912
O: 0.882 0.436 0.399
O: 0.618 0.436 0.601
O: 0.020 0.250 0.750
O: 0.750 0.774 0.500
O: 0.882 0.064 0.101
O: 0.250 0.637 0.000
O: 0.250 0.274 0.000
O: 0.118 0.564 0.601
O: 0.250 0.863 0.500
O: 0.382 0.936 0.101
O: 0.520 0.750 0.750
O: 0.980 0.750 0.250
O: 0.618 0.064 0.899
O: 0.750 0.137 0.500
O: 0.750 0.726 0.000
O: 0.382 0.564 0.399
O: 0.118 0.936 0.899
O: 0.480 0.250 0.250
O: 0.250 0.226 0.500
O: 0.750 0.363 0.000
Zr: 0.035 0.661 0.412
Zr: 0.535 0.161 0.088
Zr: 0.965 0.161 0.912
Zr: 0.465 0.661 0.588
Zr: 0.965 0.339 0.588
Zr: 0.035 0.839 0.088
Zr: 0.535 0.339 0.412
Zr: 0.465 0.839 0.912

#ii
A plane-wave DFT calculation with GGA-PBE was carried out for a relaxed Li2Zr2O5 crystal.

Values from the calculation:
Symmetry: P2_1/c (14)

a = 3.931 Å, b = 10.375 Å, c = 13.143 Å
α = 56.43°, β = 90.00°, γ = 90.00°
Positions (direct):
O: 0.701 0.876 0.839
O: 0.799 0.876 0.339
O: 0.248 0.885 0.511
O: 0.660 0.291 0.709
O: 0.134 0.586 0.532
O: 0.176 0.386 0.786
O: 0.366 0.586 0.032
O: 0.748 0.115 0.989
O: 0.340 0.709 0.291
O: 0.324 0.386 0.286
O: 0.634 0.414 0.968
O: 0.866 0.414 0.468
O: 0.252 0.885 0.011
O: 0.840 0.291 0.209
O: 0.824 0.614 0.214
O: 0.201 0.124 0.661
O: 0.299 0.124 0.161
O: 0.676 0.614 0.714
O: 0.160 0.709 0.791
O: 0.752 0.115 0.489
Li: 0.203 0.924 0.830
Li: 0.760 0.954 0.452
Li: 0.260 0.046 0.048
Li: 0.703 0.076 0.670
Li: 0.797 0.076 0.170
Li: 0.240 0.046 0.548
Li: 0.740 0.954 0.952
Li: 0.297 0.924 0.330
Zr: 0.861 0.669 0.364
Zr: 0.685 0.331 0.855
Zr: 0.315 0.669 0.145
Zr: 0.139 0.331 0.636
Zr: 0.639 0.669 0.864
Zr: 0.815 0.331 0.355
Zr: 0.361 0.331 0.136
Zr: 0.185 0.669 0.645

#iii
A plane-wave DFT calculation with GGA-PBE was carried out for a relaxed Li2Zr2O5 crystal.

Values from the calculation:
Symmetry: C2/c (15)

a = 5.631 Å, b = 5.631 Å, c = 7.608 Å
α = 71.92°, β = 71.92°, γ = 72.00°
Positions (direct):
O: 0.062 0.938 0.250
O: 0.000 0.500 0.000
O: 0.500 0.000 0.500
O: 0.639 0.930 0.128
O: 0.938 0.062 0.750
O: 0.500 0.500 0.000
O: 0.500 0.500 0.500
O: 0.070 0.361 0.372
O: 0.361 0.070 0.872
O: 0.930 0.639 0.628
Li: 0.219 0.815 0.499
Li: 0.815 0.219 0.999
Li: 0.781 0.185 0.501
Li: 0.185 0.781 0.001
Zr: 0.777 0.721 0.379
Zr: 0.279 0.223 0.121
Zr: 0.721 0.777 0.879
Zr: 0.223 0.279 0.621

Energies, relative to the best one, in meV per atom: #i 88; #ii 0; #iii 8.